# 1
Material: Ca2NF
Method: DFT, PBE
State: relaxed

Lattice parameters (Å, degrees): 6.1705 6.1705 6.1705 33.37 33.37 33.37
Positions (direct):
Ca1 0.2386 0.2386 0.2386
Ca2 0.7614 0.7614 0.7614
N1 0.5000 0.5000 0.5000
F1 0.0000 0.0000 0.0000

Values from the calculation:
Magnetization, μB per atom: 0.000
DFT total energy, eV for the cell shown: -22.40
Energy with MP2020 corrections, eV per atom: -5.71
E_form, eV per formula unit: -8.60

# 2
Material: NaCaNb2O6F
Method: DFT, PBE
State: relaxed

Lattice parameters (Å, degrees): 7.4815 7.4815 7.4815 120.38 119.56 90.05
Positions (direct):
Na1 0.5000 0.0000 0.0000
Na2 0.5000 0.5000 0.5000
Ca1 0.0000 0.0000 0.0000
Ca2 0.5000 0.0000 0.5000
Nb1 0.0000 0.0000 0.5000
Nb2 0.0000 0.5000 0.0000
Nb3 0.0000 0.5000 0.5000
Nb4 0.5000 0.5000 0.0000
O1 0.0635 0.4267 0.2436
O2 0.0635 0.8199 0.6368
O3 0.0726 0.8226 0.2500
O4 0.3134 0.5634 0.7500
O5 0.3169 0.1801 0.7436
O6 0.3169 0.5733 0.1368
O7 0.6831 0.4267 0.8632
O8 0.6831 0.8199 0.2564
O9 0.6866 0.4366 0.2500
O10 0.9274 0.1774 0.7500
O11 0.9365 0.1801 0.3632
O12 0.9365 0.5733 0.7564
F1 0.3682 0.1182 0.2500
F2 0.6318 0.8818 0.7500

Values from the calculation:
Magnetization, μB per atom: 0.000
DFT total energy, eV for the cell shown: -171.25
Energy with MP2020 corrections, eV per atom: -8.20
E_form, eV per formula unit: -35.07